# 1
# TmSi2Pt2 | Materials Project | GGA-PBE | optimized geometry
# * density: 11.61 g/cm3
# * uncorrected energy: -6.43 eV/atom
# * formation enthalpy at 0 K: -0.941 eV per atom
# * crystal system: tetragonal
data_TmSi2Pt2
_space_group_name_H-M_alt 'I 4/m m m'
_space_group_IT_number 139
_space_group_name_Hall '-I 4 2'
_cell_length_a 4.164
_cell_length_b 4.164
_cell_length_c 10.145
_cell_angle_alpha 90.00
_cell_angle_beta 90.00
_cell_angle_gamma 90.00
loop_
_atom_site_label
_atom_site_type_symbol
_atom_site_fract_x
_atom_site_fract_y
_atom_site_fract_z
Tm1 Tm 0.000 0.000 0.000
Si1 Si 0.000 0.500 0.250
Pt1 Pt 0.000 0.000 0.368

# 2
# Tm3Si11Pt23 | Materials Project | GGA-PBE | optimized geometry
# * density: 14.33 g/cm3
# * uncorrected energy: -6.60 eV/atom
# * formation enthalpy at 0 K: -0.850 eV per atom
# * crystal system: cubic
data_Tm3Si11Pt23
_space_group_name_H-M_alt 'F m -3 m'
_space_group_IT_number 225
_space_group_name_Hall '-F 4 2 3'
_cell_length_a 17.002
_cell_length_b 17.002
_cell_length_c 17.002
_cell_angle_alpha 90.00
_cell_angle_beta 90.00
_cell_angle_gamma 90.00
loop_
_atom_site_label
_atom_site_type_symbol
_atom_site_fract_x
_atom_site_fract_y
_atom_site_fract_z
Tm1 Tm 0.000 0.250 0.250
Si1 Si 0.000 0.000 0.172
Si2 Si 0.107 0.107 0.393
Si3 Si 0.165 0.165 0.165
Pt1 Pt 0.000 0.000 0.375
Pt2 Pt 0.083 0.083 0.083
Pt3 Pt 0.085 0.085 0.252
Pt4 Pt 0.192 0.192 0.308

# 3
# TmSiPt2 | Materials Project | GGA-PBE | optimized geometry
# * density: 14.05 g/cm3
# * uncorrected energy: -6.69 eV/atom
# * formation enthalpy at 0 K: -1.179 eV per atom
# * crystal system: orthorhombic
data_TmSiPt2
_space_group_name_H-M_alt 'P n m a'
_space_group_IT_number 62
_cell_length_a 7.268
_cell_length_b 6.957
_cell_length_c 5.489
_cell_angle_alpha 90.00
_cell_angle_beta 90.00
_cell_angle_gamma 90.00
loop_
_space_group_symop_operation_xyz
'x,y,z'
'-x,-y,-z'
'-x+1/2,-y,z+1/2'
'x+1/2,y,-z+1/2'
'x+1/2,-y+1/2,-z+1/2'
'-x+1/2,y+1/2,z+1/2'
'-x,y+1/2,-z'
'x,-y+1/2,z'
loop_
_atom_site_label
_atom_site_type_symbol
_atom_site_fract_x
_atom_site_fract_y
_atom_site_fract_z
Tm1 Tm 0.029 0.250 0.137
Si1 Si 0.119 0.750 0.363
Pt1 Pt 0.183 0.050 0.592

# 4
# USi2Pt2 | Materials Project | GGA-PBE | optimized geometry
# * density: 13.06 g/cm3
# * uncorrected energy: -7.63 eV/atom
# * formation enthalpy at 0 K: -0.776 eV per atom
# * crystal system: tetragonal
data_USi2Pt2
_space_group_name_H-M_alt 'P 4/n m m'
_space_group_IT_number 129
_cell_length_a 4.188
_cell_length_b 4.188
_cell_length_c 9.918
_cell_angle_alpha 90.00
_cell_angle_beta 90.00
_cell_angle_gamma 90.00
loop_
_space_group_symop_operation_xyz
'x,y,z'
'-x,-y,-z'
'-y+1/2,x,z'
'y+1/2,-x,-z'
'-x+1/2,-y+1/2,z'
'x+1/2,y+1/2,-z'
'y,-x+1/2,z'
'-y,x+1/2,-z'
'x+1/2,-y,-z'
'-x+1/2,y,z'
'-y,-x,-z'
'y,x,z'
'-x,y+1/2,-z'
'x,-y+1/2,z'
'y+1/2,x+1/2,-z'
'-y+1/2,-x+1/2,z'
loop_
_atom_site_label
_atom_site_type_symbol
_atom_site_fract_x
_atom_site_fract_y
_atom_site_fract_z
U1 U 0.250 0.250 0.246
Si1 Si 0.250 0.250 0.635
Si2 Si 0.250 0.750 0.000
Pt1 Pt 0.250 0.250 0.877
Pt2 Pt 0.250 0.750 0.500

# 5
# USi2Pt2 | Materials Project | GGA-PBE | optimized geometry
# * density: 13.31 g/cm3
# * uncorrected energy: -7.57 eV/atom
# * formation enthalpy at 0 K: -0.714 eV per atom
# * crystal system: tetragonal
data_USi2Pt2
_space_group_name_H-M_alt 'I 4/m m m'
_space_group_IT_number 139
_space_group_name_Hall '-I 4 2'
_cell_length_a 4.056
_cell_length_b 4.056
_cell_length_c 10.379
_cell_angle_alpha 90.00
_cell_angle_beta 90.00
_cell_angle_gamma 90.00
loop_
_atom_site_label
_atom_site_type_symbol
_atom_site_fract_x
_atom_site_fract_y
_atom_site_fract_z
U1 U 0.000 0.000 0.000
Si1 Si 0.000 0.000 0.389
Pt1 Pt 0.000 0.500 0.250

# 6
# U3SiPt5 | Materials Project | GGA-PBE | optimized geometry
# * density: 16.39 g/cm3
# * uncorrected energy: -8.48 eV/atom
# * formation enthalpy at 0 K: -0.739 eV per atom
# * crystal system: orthorhombic
data_U3SiPt5
_space_group_name_H-M_alt 'I m a 2'
_space_group_IT_number 46
_cell_length_a 13.222
_cell_length_b 7.481
_cell_length_c 7.038
_cell_angle_alpha 90.00
_cell_angle_beta 90.00
_cell_angle_gamma 90.00
loop_
_space_group_symop_operation_xyz
'x,y,z'
'-x,-y,z'
'-x+1/2,y,z'
'x+1/2,-y,z'
'x+1/2,y+1/2,z+1/2'
'-x+1/2,-y+1/2,z+1/2'
'-x,y+1/2,z+1/2'
'x,-y+1/2,z+1/2'
loop_
_atom_site_label
_atom_site_type_symbol
_atom_site_fract_x
_atom_site_fract_y
_atom_site_fract_z
U1 U 0.048 0.216 0.000
U2 U 0.250 0.634 0.497
Si1 Si 0.250 0.030 0.499
Pt1 Pt 0.101 0.567 0.795
Pt2 Pt 0.103 0.558 0.210
Pt3 Pt 0.250 0.208 0.194

# 7
# USiPt | Materials Project | GGA-PBE | optimized geometry
# * density: 13.61 g/cm3
# * uncorrected energy: -8.27 eV/atom
# * formation enthalpy at 0 K: -0.670 eV per atom
# * crystal system: monoclinic
data_USiPt
_space_group_name_H-M_alt 'C 1 2/m 1'
_space_group_IT_number 12
_cell_length_a 10.074
_cell_length_b 4.304
_cell_length_c 6.910
_cell_angle_alpha 90.00
_cell_angle_beta 131.32
_cell_angle_gamma 90.00
loop_
_space_group_symop_operation_xyz
'x,y,z'
'-x,-y,-z'
'-x,y,-z'
'x,-y,z'
'x+1/2,y+1/2,z'
'-x+1/2,-y+1/2,-z'
'-x+1/2,y+1/2,-z'
'x+1/2,-y+1/2,z'
loop_
_atom_site_label
_atom_site_type_symbol
_atom_site_fract_x
_atom_site_fract_y
_atom_site_fract_z
U1 U 0.054 0.000 0.323
Si1 Si 0.153 0.500 0.089
Pt1 Pt 0.179 0.500 0.729

# 8
# VSiPt | Materials Project | GGA-PBE | optimized geometry
# * density: 9.22 g/cm3
# * uncorrected energy: -7.31 eV/atom
# * formation enthalpy at 0 K: -0.454 eV per atom
# * crystal system: cubic
data_VSiPt
_space_group_name_H-M_alt 'F -4 3 m'
_space_group_IT_number 216
_space_group_name_Hall 'F -4 2 3'
_cell_length_a 5.822
_cell_length_b 5.822
_cell_length_c 5.822
_cell_angle_alpha 90.00
_cell_angle_beta 90.00
_cell_angle_gamma 90.00
loop_
_atom_site_label
_atom_site_type_symbol
_atom_site_fract_x
_atom_site_fract_y
_atom_site_fract_z
V1 V 0.000 0.000 0.000
Si1 Si 0.000 0.000 0.500
Pt1 Pt 0.250 0.250 0.250

The highest formation enthalpy at 0 K belongs to which entry?
VSiPt